Record 1
An optimized crystal structure of Sr3FeCoCl2O4. Source: the Materials Project, functional PBE with a Hubbard U.

Computed properties:
* ΔH_f (0 K): -2.29 eV per atom
* SG: I4mm (107)
* energy with MP2020 corrections: -6.306 eV per atom

```
data_Sr3FeCoCl2O4
_space_group_name_H-M_alt 'P 1'
_space_group_IT_number 1
_space_group_name_Hall 'P 1'
_cell_length_a 11.6282
_cell_length_b 11.6282
_cell_length_c 11.6282
_cell_angle_alpha 159.74
_cell_angle_beta 159.74
_cell_angle_gamma 28.80
loop_
_atom_site_label
_atom_site_type_symbol
_atom_site_fract_x
_atom_site_fract_y
_atom_site_fract_z
Sr1 Sr 0.0000 0.0000 0.0000
Sr2 Sr 0.1473 0.1473 0.0000
Sr3 Sr 0.3009 0.3009 0.0000
Fe1 Fe 0.7236 0.7236 0.0000
Co1 Co 0.5706 0.5706 0.0000
Cl1 Cl 0.4524 0.4524 0.0000
Cl2 Cl 0.8558 0.8558 0.0000
O1 O 0.0732 0.5732 0.5000
O2 O 0.2274 0.7274 0.5000
O3 O 0.5732 0.0732 0.5000
O4 O 0.7274 0.2274 0.5000
```

=====

Record 2
An optimized crystal structure of LiCrFeO4. Source: the Materials Project, functional PBE with a Hubbard U.

Computed properties:
* ΔH_f (0 K): -1.95 eV per atom
* SG: P4_322 (95)
* energy with MP2020 corrections: -7.640 eV per atom

```
data_LiCrFeO4
_space_group_name_H-M_alt 'P 1'
_space_group_IT_number 1
_space_group_name_Hall 'P 1'
_cell_length_a 5.8777
_cell_length_b 5.8777
_cell_length_c 8.3803
_cell_angle_alpha 90.00
_cell_angle_beta 90.00
_cell_angle_gamma 90.00
loop_
_atom_site_label
_atom_site_type_symbol
_atom_site_fract_x
_atom_site_fract_y
_atom_site_fract_z
Li1 Li 0.0000 0.2315 0.0000
Li2 Li 0.0000 0.7685 0.5000
Li3 Li 0.2315 0.0000 0.2500
Li4 Li 0.7685 0.0000 0.7500
Cr1 Cr 0.2351 0.5000 0.2500
Cr2 Cr 0.5000 0.2351 0.0000
Cr3 Cr 0.5000 0.7649 0.5000
Cr4 Cr 0.7649 0.5000 0.7500
Fe1 Fe 0.2559 0.2559 0.6250
Fe2 Fe 0.2559 0.7441 0.8750
Fe3 Fe 0.7441 0.2559 0.3750
Fe4 Fe 0.7441 0.7441 0.1250
O1 O 0.0163 0.2681 0.2567
O2 O 0.0163 0.7319 0.2433
O3 O 0.2665 0.4810 0.0125
O4 O 0.2665 0.5190 0.4875
O5 O 0.2681 0.0163 0.9933
O6 O 0.2681 0.9837 0.5067
O7 O 0.4810 0.2665 0.2375
O8 O 0.4810 0.7335 0.2625
O9 O 0.5190 0.2665 0.7625
O10 O 0.5190 0.7335 0.7375
O11 O 0.7319 0.0163 0.0067
O12 O 0.7319 0.9837 0.4933
O13 O 0.7335 0.4810 0.9875
O14 O 0.7335 0.5190 0.5125
O15 O 0.9837 0.2681 0.7433
O16 O 0.9837 0.7319 0.7567
```

=====

Record 3
An optimized crystal structure of Mn3ZnP4O14. Source: the Materials Project, functional PBE with a Hubbard U.

Computed properties:
* ΔH_f (0 K): -2.48 eV per atom
* SG: P2_1/c (14)
* energy with MP2020 corrections: -7.918 eV per atom

```
data_Mn3ZnP4O14
_space_group_name_H-M_alt 'P 1'
_space_group_IT_number 1
_space_group_name_Hall 'P 1'
_cell_length_a 7.5296
_cell_length_b 7.5419
_cell_length_c 9.9022
_cell_angle_alpha 90.00
_cell_angle_beta 113.43
_cell_angle_gamma 90.00
loop_
_atom_site_label
_atom_site_type_symbol
_atom_site_fract_x
_atom_site_fract_y
_atom_site_fract_z
Mn1 Mn 0.0000 0.0000 0.0000
Mn2 Mn 0.0000 0.5000 0.5000
Mn3 Mn 0.1916 0.1210 0.5248
Mn4 Mn 0.1916 0.3790 0.0248
Mn5 Mn 0.8084 0.6210 0.9752
Mn6 Mn 0.8084 0.8790 0.4752
Zn1 Zn 0.5000 0.0000 0.0000
Zn2 Zn 0.5000 0.5000 0.5000
P1 P 0.1489 0.7109 0.8173
P2 P 0.1489 0.7891 0.3173
P3 P 0.4081 0.0886 0.2984
P4 P 0.4081 0.4114 0.7984
P5 P 0.5919 0.5886 0.2016
P6 P 0.5919 0.9114 0.7016
P7 P 0.8511 0.2109 0.6827
P8 P 0.8511 0.2891 0.1827
O1 O 0.0341 0.7213 0.6506
O2 O 0.0341 0.7787 0.1506
O3 O 0.0401 0.6031 0.8918
O4 O 0.0401 0.8969 0.3918
O5 O 0.2229 0.6137 0.4012
O6 O 0.2229 0.8863 0.9012
O7 O 0.2761 0.1219 0.1334
O8 O 0.2761 0.3781 0.6334
O9 O 0.3414 0.6010 0.8400
O10 O 0.3414 0.8990 0.3400
O11 O 0.3769 0.2270 0.4004
O12 O 0.3769 0.2730 0.9004
O13 O 0.3870 0.5513 0.1845
O14 O 0.3870 0.9487 0.6845
O15 O 0.6130 0.0513 0.3155
O16 O 0.6130 0.4487 0.8155
O17 O 0.6231 0.7270 0.0996
O18 O 0.6231 0.7730 0.5996
O19 O 0.6586 0.1010 0.6600
O20 O 0.6586 0.3990 0.1600
O21 O 0.7239 0.6219 0.3666
O22 O 0.7239 0.8781 0.8666
O23 O 0.7771 0.1137 0.0988
O24 O 0.7771 0.3863 0.5988
O25 O 0.9599 0.1031 0.6082
O26 O 0.9599 0.3969 0.1082
O27 O 0.9659 0.2213 0.8494
O28 O 0.9659 0.2787 0.3494
```

=====

Record 4
An optimized crystal structure of KMnF3. Source: the Materials Project, functional PBE with a Hubbard U.

Computed properties:
* ΔH_f (0 K): -3.02 eV per atom
* SG: P4/mbm (127)
* energy with MP2020 corrections: -6.221 eV per atom

```
data_KMnF3
_space_group_name_H-M_alt 'P 1'
_space_group_IT_number 1
_space_group_name_Hall 'P 1'
_cell_length_a 6.0230
_cell_length_b 6.0230
_cell_length_c 8.5380
_cell_angle_alpha 90.00
_cell_angle_beta 90.00
_cell_angle_gamma 90.00
loop_
_atom_site_label
_atom_site_type_symbol
_atom_site_fract_x
_atom_site_fract_y
_atom_site_fract_z
K1 K 0.0000 0.5000 0.2479
K2 K 0.0000 0.5000 0.7521
K3 K 0.5000 0.0000 0.2479
K4 K 0.5000 0.0000 0.7521
Mn1 Mn 0.0000 0.0000 0.0000
Mn2 Mn 0.0000 0.0000 0.5000
Mn3 Mn 0.5000 0.5000 0.0000
Mn4 Mn 0.5000 0.5000 0.5000
F1 F 0.0000 0.0000 0.2499
F2 F 0.0000 0.0000 0.7501
F3 F 0.2258 0.2742 0.5000
F4 F 0.2501 0.2499 0.0000
F5 F 0.2499 0.7499 0.0000
F6 F 0.2742 0.7742 0.5000
F7 F 0.5000 0.5000 0.2499
F8 F 0.5000 0.5000 0.7501
F9 F 0.7258 0.2258 0.5000
F10 F 0.7501 0.2501 0.0000
F11 F 0.7499 0.7501 0.0000
F12 F 0.7742 0.7258 0.5000
```

=====

Record 5
An optimized crystal structure of Li4Fe3Cu3Te2O16. Source: the Materials Project, functional PBE with a Hubbard U.

Computed properties:
* ΔH_f (0 K): -1.62 eV per atom
* SG: P1 (1)
* energy with MP2020 corrections: -6.291 eV per atom

```
data_Li4Fe3Cu3Te2O16
_space_group_name_H-M_alt 'P 1'
_space_group_IT_number 1
_space_group_name_Hall 'P 1'
_cell_length_a 5.9172
_cell_length_b 6.0097
_cell_length_c 9.8647
_cell_angle_alpha 92.43
_cell_angle_beta 90.02
_cell_angle_gamma 119.41
loop_
_atom_site_label
_atom_site_type_symbol
_atom_site_fract_x
_atom_site_fract_y
_atom_site_fract_z
Li1 Li 0.0000 0.0000 0.0000
Li2 Li 0.0044 0.0077 0.5046
Li3 Li 0.3394 0.6788 0.4362
Li4 Li 0.6614 0.3223 0.9341
Fe1 Fe 0.1735 0.3465 0.7352
Fe2 Fe 0.3449 0.1826 0.2337
Fe3 Fe 0.8380 0.1826 0.2337
Cu1 Cu 0.1703 0.8329 0.7302
Cu2 Cu 0.6628 0.8329 0.7303
Cu3 Cu 0.8336 0.6673 0.2288
Te1 Te 0.3318 0.6633 0.0037
Te2 Te 0.6749 0.3499 0.5041
O1 O 0.0000 0.0006 0.8098
O2 O 0.0024 0.0042 0.3145
O3 O 0.0262 0.4910 0.8822
O4 O 0.1772 0.3544 0.1210
O5 O 0.1792 0.8424 0.1072
O6 O 0.3369 0.6727 0.6393
O7 O 0.3571 0.2006 0.6081
O8 O 0.4647 0.4902 0.8823
O9 O 0.4742 0.9469 0.8708
O10 O 0.5138 0.4831 0.3767
O11 O 0.5248 0.0488 0.3685
O12 O 0.6635 0.8419 0.1073
O13 O 0.6683 0.3366 0.1337
O14 O 0.8423 0.6852 0.6083
O15 O 0.8445 0.2010 0.6079
O16 O 0.9690 0.4836 0.3766
```

=====

Record 6
An optimized crystal structure of Na2CaVP2O9. Source: the Materials Project, functional PBE with a Hubbard U.

Computed properties:
* ΔH_f (0 K): -2.82 eV per atom
* SG: Pnma (62)
* energy with MP2020 corrections: -7.429 eV per atom

```
data_Na2CaVP2O9
_space_group_name_H-M_alt 'P 1'
_space_group_IT_number 1
_space_group_name_Hall 'P 1'
_cell_length_a 10.6773
_cell_length_b 6.6554
_cell_length_c 10.1796
_cell_angle_alpha 90.00
_cell_angle_beta 90.00
_cell_angle_gamma 90.00
loop_
_atom_site_label
_atom_site_type_symbol
_atom_site_fract_x
_atom_site_fract_y
_atom_site_fract_z
Na1 Na 0.2140 0.0030 0.1338
Na2 Na 0.2140 0.4970 0.1338
Na3 Na 0.2860 0.5030 0.6338
Na4 Na 0.2860 0.9970 0.6338
Na5 Na 0.7140 0.0030 0.3662
Na6 Na 0.7140 0.4970 0.3662
Na7 Na 0.7860 0.5030 0.8662
Na8 Na 0.7860 0.9970 0.8662
Ca1 Ca 0.0605 0.2500 0.4124
Ca2 Ca 0.4395 0.7500 0.9124
Ca3 Ca 0.5605 0.2500 0.0876
Ca4 Ca 0.9395 0.7500 0.5876
V1 V 0.0333 0.2500 0.8085
V2 V 0.4667 0.7500 0.3085
V3 V 0.5333 0.2500 0.6915
V4 V 0.9667 0.7500 0.1915
P1 P 0.0901 0.7500 0.8642
P2 P 0.1778 0.7500 0.4168
P3 P 0.3222 0.2500 0.9168
P4 P 0.4099 0.2500 0.3642
P5 P 0.5901 0.7500 0.6358
P6 P 0.6778 0.7500 0.0832
P7 P 0.8222 0.2500 0.5832
P8 P 0.9099 0.2500 0.1358
O1 O 0.0129 0.5656 0.8091
O2 O 0.0129 0.9344 0.8091
O3 O 0.0909 0.7500 0.0163
O4 O 0.1112 0.2500 0.6672
O5 O 0.1234 0.5647 0.4869
O6 O 0.1234 0.9353 0.4869
O7 O 0.1433 0.7500 0.2690
O8 O 0.1770 0.2500 0.9346
O9 O 0.2249 0.7500 0.8079
O10 O 0.2751 0.2500 0.3079
O11 O 0.3230 0.7500 0.4346
O12 O 0.3567 0.2500 0.7690
O13 O 0.3766 0.0647 0.9869
O14 O 0.3766 0.4353 0.9869
O15 O 0.3888 0.7500 0.1672
O16 O 0.4091 0.2500 0.5163
O17 O 0.4871 0.0656 0.3091
O18 O 0.4871 0.4344 0.3091
O19 O 0.5129 0.5656 0.6909
O20 O 0.5129 0.9344 0.6909
O21 O 0.5909 0.7500 0.4837
O22 O 0.6112 0.2500 0.8328
O23 O 0.6234 0.5647 0.0131
O24 O 0.6234 0.9353 0.0131
O25 O 0.6433 0.7500 0.2310
O26 O 0.6770 0.2500 0.5654
O27 O 0.7249 0.7500 0.6921
O28 O 0.7751 0.2500 0.1921
O29 O 0.8230 0.7500 0.0654
O30 O 0.8567 0.2500 0.7310
O31 O 0.8766 0.0647 0.5131
O32 O 0.8766 0.4353 0.5131
O33 O 0.8888 0.7500 0.3328
O34 O 0.9091 0.2500 0.9837
O35 O 0.9871 0.0656 0.1909
O36 O 0.9871 0.4344 0.1909
```